# 1
! YMg14CO16 PBE-GGA relaxed; values from VASP
&SYSTEM
  ibrav = 0, nat = 32, ntyp = 4
/
ATOMIC_SPECIES
Y 88.91 Y.upf
Mg 24.30 Mg.upf
C 12.01 C.upf
O 16.00 O.upf
CELL_PARAMETERS angstrom
8.678 0.000 0.000
0.000 8.678 0.000
0.000 0.000 4.319
ATOMIC_POSITIONS angstrom
Y 0.000 0.000 0.000
Mg 0.000 2.303 2.159
Mg 0.000 4.339 0.000
Mg 0.000 6.375 2.159
Mg 2.236 4.339 2.159
Mg 2.284 2.284 0.000
Mg 2.284 6.395 0.000
Mg 2.303 0.000 2.159
Mg 4.339 0.000 0.000
Mg 4.339 2.236 2.159
Mg 4.339 6.442 2.159
Mg 6.375 0.000 2.159
Mg 6.395 2.284 0.000
Mg 6.395 6.395 0.000
Mg 6.442 4.339 2.159
C 4.339 4.339 0.000
O 0.000 0.000 2.159
O 0.000 2.235 0.000
O 0.000 4.339 2.159
O 0.000 6.444 0.000
O 2.028 4.339 0.000
O 2.168 2.168 2.159
O 2.168 6.511 2.159
O 2.235 0.000 0.000
O 4.339 0.000 2.159
O 4.339 2.028 0.000
O 4.339 4.339 2.159
O 4.339 6.650 0.000
O 6.444 0.000 0.000
O 6.511 2.168 2.159
O 6.511 6.511 2.159
O 6.650 4.339 0.000
! E above lowest polymorph = 3.1 meV/atom
! SG = No. 123
! MP2020-corrected energy = -0.2345 Ha/atom
! crystal system = tetragonal
! energy relative to the elements = -2717 meV per atom

# 2
! Ca2AlBiO5 PBE-GGA relaxed; values from VASP
&SYSTEM
  ibrav = 0, nat = 18, ntyp = 4
/
ATOMIC_SPECIES
Ca 40.08 Ca.upf
Al 26.98 Al.upf
Bi 208.98 Bi.upf
O 16.00 O.upf
CELL_PARAMETERS angstrom
5.658 0.000 0.000
-0.004 6.042 0.000
-2.620 -3.019 7.787
ATOMIC_POSITIONS angstrom
Ca 0.000 0.000 0.000
Ca -0.119 0.288 4.109
Ca 0.054 0.133 7.778
Ca 2.674 2.943 4.107
Al 0.043 3.521 5.860
Al 2.867 -0.310 5.869
Bi 0.039 3.061 1.795
Bi 2.955 0.097 1.786
O -2.456 0.681 7.321
O -0.529 -0.675 2.130
O -1.651 -1.784 5.718
O 1.352 1.497 0.963
O 0.436 2.501 4.463
O 0.252 2.482 7.307
O 2.247 3.865 2.120
O 1.170 -1.037 5.673
O 4.194 1.655 0.754
O 3.263 0.726 4.471
! SG = No. 1
! MP2020-corrected energy = -0.2506 Ha/atom
! crystal system = triclinic
! energy relative to the elements = -2776 meV per atom